{"formula": "SrLiY2B3O9", "functional": "PBE-GGA", "state": "optimized geometry", "energy_mp2020_ev_per_atom": -8.405, "dft_energy_ev_per_cell": -384.91, "spacegroup": "No. 150", "cell": [[10.433, 0.000, 0.000], [-5.216, 9.035, 0.000], [0.000, 0.000, 6.442]], "species": ["Sr", "Sr", "Sr", "Li", "Li", "Li", "Y", "Y", "Y", "Y", "Y", "Y", "B", "B", "B", "B", "B", "B", "B", "B", "B", "O", "O", "O", "O", "O", "O", "O", "O", "O", "O", "O", "O", "O", "O", "O", "O", "O", "O", "O", "O", "O", "O", "O", "O", "O", "O", "O"], "fractional_positions": [[0.000, 0.497, 0.000], [0.497, 0.000, 0.000], [0.503, 0.503, 0.000], [0.000, 0.497, 0.500], [0.497, 0.000, 0.500], [0.503, 0.503, 0.500], [0.172, 0.817, 0.363], [0.183, 0.355, 0.363], [0.355, 0.183, 0.637], [0.645, 0.828, 0.363], [0.817, 0.172, 0.637], [0.828, 0.645, 0.637], [0.000, 0.000, 0.500], [0.188, 0.809, 0.805], [0.191, 0.379, 0.805], [0.333, 0.667, 0.335], [0.379, 0.191, 0.195], [0.621, 0.812, 0.805], [0.667, 0.333, 0.665], [0.809, 0.188, 0.195], [0.812, 0.621, 0.195], [0.000, 0.868, 0.500], [0.071, 0.362, 0.687], [0.077, 0.687, 0.696], [0.132, 0.132, 0.500], [0.181, 0.591, 0.337], [0.195, 0.394, 0.016], [0.199, 0.805, 0.016], [0.291, 0.929, 0.687], [0.313, 0.390, 0.696], [0.362, 0.071, 0.313], [0.390, 0.313, 0.304], [0.394, 0.195, 0.984], [0.409, 0.590, 0.337], [0.410, 0.819, 0.337], [0.590, 0.409, 0.663], [0.591, 0.181, 0.663], [0.606, 0.801, 0.016], [0.610, 0.923, 0.696], [0.638, 0.709, 0.687], [0.687, 0.077, 0.304], [0.709, 0.638, 0.313], [0.801, 0.606, 0.984], [0.805, 0.199, 0.984], [0.819, 0.410, 0.663], [0.868, 0.000, 0.500], [0.923, 0.610, 0.304], [0.929, 0.291, 0.313]]}